1.
! YAlNi | the Materials Project | PBE | relaxed; values from VASP
! Calculated formation energy: -0.601 eV per atom
&SYSTEM
  ibrav = 0, nat = 9, ntyp = 3
/
ATOMIC_SPECIES
Y 88.91 Y.upf
Al 26.98 Al.upf
Ni 58.69 Ni.upf
ATOMIC_POSITIONS angstrom
Y -2.0297 3.5155 0.0000
Y 1.4492 2.5101 0.0000
Y 4.0594 0.0000 0.0000
Al -0.8156 1.4127 1.9596
Al 1.6312 0.0000 1.9596
Al 2.6633 4.6130 1.9596
Ni 0.0000 0.0000 0.0000
Ni 0.0000 4.0171 1.9596
Ni 3.4789 2.0086 1.9596
CELL_PARAMETERS angstrom
6.9578 0.0000 0.0000
-3.4789 6.0257 0.0000
0.0000 0.0000 3.9192



2.
! YAl2Ni | the Materials Project | PBE | relaxed; values from VASP
! Calculated formation energy: -0.650 eV per atom
&SYSTEM
  ibrav = 0, nat = 8, ntyp = 3
/
ATOMIC_SPECIES
Y 88.91 Y.upf
Al 26.98 Al.upf
Ni 58.69 Ni.upf
ATOMIC_POSITIONS angstrom
Y 2.0259 4.5220 5.1535
Y 2.0259 -4.5220 1.7178
Al 2.0259 1.6300 3.8121
Al 2.0259 1.6300 6.4949
Al 2.0259 -1.6300 0.3764
Al 2.0259 -1.6300 3.0592
Ni 2.0259 2.9213 1.7178
Ni 2.0259 -2.9213 5.1535
CELL_PARAMETERS angstrom
2.0259 -5.1453 0.0000
2.0259 5.1453 0.0000
0.0000 0.0000 6.8713



3.
! YAlNi | the Materials Project | PBE | relaxed; values from VASP
! Calculated formation energy: -0.511 eV per atom
&SYSTEM
  ibrav = 0, nat = 12, ntyp = 3
/
ATOMIC_SPECIES
Y 88.91 Y.upf
Al 26.98 Al.upf
Ni 58.69 Ni.upf
ATOMIC_POSITIONS angstrom
Y 1.5157 0.0000 0.0000
Y 2.5124 0.0000 6.1491
Y 6.0393 0.0000 6.1491
Y 7.0359 0.0000 0.0000
Al 2.0391 0.0000 3.0271
Al 4.2758 -1.3764 3.8662
Al 4.2758 1.3764 3.8662
Al 6.5125 0.0000 3.0271
Ni 0.0000 0.0000 4.6019
Ni 0.0000 -1.3432 6.9218
Ni 0.0000 1.3432 6.9218
Ni 4.2758 0.0000 1.5121
CELL_PARAMETERS angstrom
8.5517 0.0000 0.0000
0.0000 2.7108 4.6351
0.0000 -2.7108 4.6351



> The lowest calculated formation energy belongs to which entry?

YAl2Ni